No. 1
Here is a relaxed Sr2LiH8O6 crystal from the Materials Project database. Energies are from PBE.

The structure in extended XYZ format:
```
17
Lattice="3.6003 0.0000 0.0000 0.0210 6.8079 0.0000 0.0082 1.9344 8.6013" Properties=species:S:1:pos:R:3 pbc="T T T"
Sr 0.0000 0.0000 0.0000
Sr 3.6135 4.0866 5.5718
Li 3.5843 1.3415 2.5936
H 0.7841 5.9362 3.3266
H 0.7980 5.7094 8.1866
H 1.7865 2.1854 1.0469
H 1.8107 6.4701 5.0304
H 1.8137 1.9397 6.0258
H 1.8247 4.7482 1.1185
H 2.8370 5.9358 3.3283
H 2.8565 5.7119 8.1896
O 0.0260 5.1259 7.8782
O 1.7943 1.2852 1.4225
O 1.8123 5.5616 4.6529
O 1.8129 2.6372 6.7270
O 1.8210 4.9435 0.1611
O 3.6103 6.1567 2.7229
```

Values from the calculation:
crystal system	triclinic
space group	P1 (1)
distance to the lowest polymorph of the same formula	0.000	eV per atom



No. 2
Here is a relaxed Cs2RbAuBr6 crystal from the Materials Project database. Energies are from PBE.

The structure in extended XYZ format:
```
10
Lattice="0.0000 5.9401 5.9401 5.9401 0.0000 5.9401 5.9401 5.9401 0.0000" Properties=species:S:1:pos:R:3 pbc="T T T"
Cs 2.9700 2.9700 2.9700
Cs 8.9101 8.9101 8.9101
Rb 0.0000 0.0000 0.0000
Au 5.9401 5.9401 5.9401
Br 5.9401 5.9401 3.2689
Br 5.9401 3.2689 5.9401
Br 8.6113 5.9401 5.9401
Br 3.2689 5.9401 5.9401
Br 5.9401 8.6113 5.9401
Br 5.9401 5.9401 8.6113
```

Values from the calculation:
final energy	-0.0971	hartree per atom
crystal system	cubic
space group	Fm-3m (225)



Number 1: total moment 0.0000 μB per atom. Number 2: total moment 0.1996 μB per atom.